Material: Na3CaAl3Si3SO16
Method: DFT, PBE
State: relaxed

abc: 9.0880 9.0880 9.0880
angles: 89.82 89.82 89.82
Fractional positions:
Na 0.7937 0.2033 0.2054
Na 0.2033 0.2054 0.7937
Na 0.7033 0.2937 0.7054
Na 0.7054 0.7033 0.2937
Na 0.2937 0.7054 0.7033
Na 0.2054 0.7937 0.2033
Ca 0.3201 0.3201 0.3201
Ca 0.8201 0.8201 0.8201
Al 0.9974 0.2514 0.5014
Al 0.7514 0.4974 0.0014
Al 0.2514 0.5014 0.9974
Al 0.0014 0.7514 0.4974
Al 0.5014 0.9974 0.2514
Al 0.4974 0.0014 0.7514
Si 0.2496 0.0022 0.5000
Si 0.5000 0.2496 0.0022
Si 0.0000 0.5022 0.7496
Si 0.0022 0.5000 0.2496
Si 0.5022 0.7496 0.0000
Si 0.7496 0.0000 0.5022
S 0.9944 0.9944 0.9944
S 0.4944 0.4944 0.4944
O 0.3508 0.0579 0.3593
O 0.6533 0.0469 0.6473
O 0.0876 0.0876 0.0876
O 0.8980 0.0837 0.8928
O 0.8485 0.1412 0.4518
O 0.1533 0.1473 0.5469
O 0.5469 0.1533 0.1473
O 0.4480 0.1511 0.8628
O 0.3593 0.3508 0.0579
O 0.6412 0.3485 0.9518
O 0.0579 0.3593 0.3508
O 0.9480 0.3628 0.6511
O 0.5837 0.3980 0.3928
O 0.3980 0.3928 0.5837
O 0.8628 0.4480 0.1511
O 0.1412 0.4518 0.8485
O 0.1473 0.5469 0.1533
O 0.8593 0.5579 0.8508
O 0.3928 0.5837 0.3980
O 0.5876 0.5876 0.5876
O 0.9518 0.6412 0.3485
O 0.0469 0.6473 0.6533
O 0.6473 0.6533 0.0469
O 0.3628 0.6511 0.9480
O 0.4518 0.8485 0.1412
O 0.5579 0.8508 0.8593
O 0.8508 0.8593 0.5579
O 0.1511 0.8628 0.4480
O 0.8928 0.8980 0.0837
O 0.0837 0.8928 0.8980
O 0.6511 0.9480 0.3628
O 0.3485 0.9518 0.6412

- total magnetic moment (Bohr magnetons per cell) = 0.00
- distance to the lowest polymorph of the same formula (kJ per mole of atoms) = 1.42
- V (A^3/atom) = 13.90
- DFT formation energy (eV/atom) = -3.020
- total DFT energy (no corrections) (eV/atom) = -6.94

---

Material: Na8Ca2Al2Si3S3O24
Method: DFT, PBE
State: relaxed

abc: 9.4262 9.2300 22.4466
angles: 94.54 89.63 120.72
Fractional positions:
Na 0.6478 0.0231 0.2608
Na 0.3522 0.3437 0.2573
Na 0.0016 0.6299 0.2405
Na 0.6254 0.6350 0.7360
Na 0.9896 0.3427 0.7388
Na 0.3720 0.0308 0.7483
Na 0.3105 0.3514 0.5921
Na 0.0182 0.6786 0.5895
Na 0.6673 0.9621 0.5762
Na 0.2843 0.9557 0.0817
Na 0.6761 0.6983 0.0791
Na 0.0277 0.3462 0.0932
Na 0.9954 0.6863 0.9155
Na 0.6782 0.0211 0.9010
Na 0.3368 0.2901 0.9049
Na 0.9510 0.2859 0.4168
Na 0.3408 0.0365 0.4065
Na 0.6868 0.6772 0.4308
Na 0.9789 0.9943 0.5050
Na 0.0152 0.9942 0.9995
Na 0.6478 0.3238 0.8261
Na 0.6628 0.3128 0.3366
Na 0.3093 0.6591 0.1698
Na 0.3419 0.6516 0.6620
Ca 0.9991 0.0067 0.3489
Ca 0.0023 0.0073 0.8454
Ca 0.6691 0.3373 0.6831
Ca 0.6712 0.3299 0.1843
Ca 0.3269 0.6718 0.0129
Ca 0.3384 0.6656 0.5170
Al 0.9640 0.0291 0.6480
Al 0.0110 0.9773 0.1650
Al 0.6687 0.3389 0.9812
Al 0.6757 0.3098 0.4978
Al 0.3145 0.6950 0.3107
Al 0.3506 0.7018 0.8005
Si 0.2996 0.9934 0.2531
Si 0.0167 0.3018 0.2521
Si 0.2868 0.3067 0.7531
Si 0.6913 0.9952 0.7516
Si 0.9672 0.3298 0.5859
Si 0.6850 0.6357 0.5852
Si 0.9548 0.6371 0.0862
Si 0.3456 0.9723 0.9198
Si 0.6197 0.9688 0.4191
S 0.6943 0.7121 0.2461
S 0.0192 0.7005 0.7542
S 0.3618 0.0460 0.5794
S 0.6813 0.0425 0.0772
S 0.3745 0.3300 0.0788
S 0.6336 0.6525 0.9186
S 0.0084 0.3603 0.9213
S 0.3472 0.3697 0.4129
S 0.0353 0.6602 0.4119
O 0.2220 0.0185 0.3137
O 0.7863 0.7793 0.3035
O 0.9726 0.1986 0.3106
O 0.2249 0.2025 0.8116
O 0.0072 0.7789 0.8121
O 0.7852 0.0065 0.8128
O 0.7916 0.9758 0.6933
O 0.1500 0.1943 0.6941
O 0.0343 0.7983 0.7035
O 0.7984 0.8166 0.1963
O 0.0375 0.1825 0.1931
O 0.1770 0.9647 0.1944
O 0.8953 0.3637 0.6466
O 0.4507 0.1132 0.6375
O 0.6456 0.5314 0.6431
O 0.8812 0.5357 0.1442
O 0.6549 0.1094 0.1351
O 0.4624 0.3480 0.1352
O 0.4706 0.3201 0.0261
O 0.8216 0.5297 0.0268
O 0.6820 0.1443 0.0280
O 0.4693 0.1496 0.5303
O 0.7038 0.5168 0.5255
O 0.8440 0.2998 0.5272
O 0.5613 0.6731 0.9750
O 0.1066 0.4375 0.9779
O 0.3181 0.8757 0.9795
O 0.5479 0.8684 0.4773
O 0.3377 0.4546 0.4696
O 0.1290 0.6782 0.4666
O 0.1300 0.6542 0.3576
O 0.4874 0.8620 0.3583
O 0.3478 0.4606 0.3611
O 0.0897 0.4584 0.8704
O 0.3698 0.8575 0.8610
O 0.5309 0.6358 0.8663
O 0.0099 0.8066 0.4120
O 0.8033 0.9922 0.4125
O 0.2012 0.1954 0.4133
O 0.9766 0.1851 0.9161
O 0.1873 0.9985 0.9140
O 0.8061 0.7983 0.9170
O 0.9678 0.1494 0.5873
O 0.2089 0.0524 0.5763
O 0.8672 0.8240 0.5942
O 0.9684 0.8312 0.0952
O 0.8407 0.0456 0.0773
O 0.2090 0.1733 0.0752
O 0.6620 0.1534 0.7498
O 0.4735 0.3420 0.7443
O 0.8748 0.5273 0.7502
O 0.6530 0.5351 0.2375
O 0.8674 0.3385 0.2422
O 0.4861 0.1533 0.2484
O 0.6401 0.4903 0.9184
O 0.8437 0.3540 0.9262
O 0.5234 0.1632 0.9268
O 0.6344 0.1623 0.4280
O 0.5024 0.3628 0.4127
O 0.8735 0.5003 0.4076
O 0.3542 0.4805 0.0771
O 0.1401 0.6627 0.0801
O 0.5445 0.8627 0.0711
O 0.3212 0.8685 0.5717
O 0.5331 0.6705 0.5768
O 0.1544 0.4874 0.5800
O 0.3024 0.8135 0.2527
O 0.5404 0.7187 0.2445
O 0.1991 0.4906 0.2605
O 0.2920 0.4928 0.7643
O 0.1759 0.6917 0.7556
O 0.5057 0.8159 0.7487

- total magnetic moment (Bohr magnetons per cell) = 0.00
- V (A^3/atom) = 13.27
- DFT formation energy (eV/atom) = -2.579
- total DFT energy (no corrections) (eV/atom) = -6.22

---

Material: Na10Ca4Al4Si3S9O48
Method: DFT, PBE
State: relaxed

abc: 18.1014 9.0824 22.3198
angles: 89.81 87.46 120.23
Fractional positions:
Na 0.1890 0.3720 0.2464
Na 0.6888 0.3735 0.2452
Na 0.9866 0.6524 0.2557
Na 0.4896 0.6404 0.2637
Na 0.3328 0.6620 0.7426
Na 0.8268 0.6535 0.7451
Na 0.9885 0.3337 0.7539
Na 0.1841 0.0004 0.7415
Na 0.6855 0.0028 0.7405
Na 0.5181 0.7072 0.5736
Na 0.3195 0.9759 0.5910
Na 0.8174 0.9677 0.5890
Na 0.1558 0.9810 0.0813
Na 0.6557 0.9813 0.0793
Na 0.3224 0.6775 0.0943
Na 0.8217 0.6742 0.0948
Na 0.6542 0.9935 0.4267
Na 0.3568 0.6702 0.4077
Na 0.0261 0.0135 0.5039
Na 0.5110 0.0120 0.5028
Na 0.0135 0.0376 0.0036
Na 0.5133 0.0401 0.0044
Na 0.3511 0.3046 0.8320
Na 0.8352 0.3099 0.8350
Na 0.3350 0.3264 0.3357
Na 0.8408 0.3586 0.3344
Na 0.1690 0.6470 0.1689
Na 0.6710 0.6543 0.1705
Na 0.1602 0.6805 0.6647
Na 0.6563 0.6579 0.6660
Ca 0.9985 0.9917 0.3557
Ca 0.5005 0.0022 0.3524
Ca 0.9995 0.0035 0.8566
Ca 0.4975 0.0040 0.8575
Ca 0.3336 0.3280 0.6849
Ca 0.8325 0.3294 0.6800
Ca 0.3338 0.3344 0.1834
Ca 0.8344 0.3377 0.1832
Ca 0.1625 0.6500 0.0181
Ca 0.6625 0.6493 0.0176
Ca 0.1608 0.6678 0.5215
Ca 0.6686 0.6684 0.5157
Al 0.9934 0.9822 0.6438
Al 0.5058 0.0344 0.6500
Al 0.9856 0.0232 0.1470
Al 0.4982 0.0172 0.1537
Al 0.3228 0.3207 0.9841
Al 0.8215 0.3215 0.9823
Al 0.3324 0.3238 0.4823
Al 0.8291 0.3360 0.4873
Al 0.1807 0.6901 0.3162
Al 0.6786 0.6796 0.3263
Al 0.1830 0.6759 0.8238
Al 0.6677 0.6723 0.8165
Si 0.3511 0.7165 0.2511
Si 0.8498 0.7205 0.2505
Si 0.3504 0.9872 0.7525
Si 0.8515 0.9881 0.7499
Si 0.1804 0.0499 0.5873
Si 0.6777 0.0421 0.5874
Si 0.1771 0.3128 0.0905
Si 0.6776 0.3140 0.0895
Si 0.5149 0.6437 0.4201
S 0.1481 0.9758 0.2511
S 0.6455 0.9799 0.2476
S 0.0055 0.3013 0.2498
S 0.5057 0.3022 0.2474
S 0.1446 0.3111 0.7502
S 0.6420 0.3121 0.7493
S 0.0045 0.7141 0.7479
S 0.5100 0.7136 0.7523
S 0.4802 0.3153 0.5807
S 0.9744 0.3069 0.5816
S 0.3395 0.6388 0.5805
S 0.8440 0.6404 0.5812
S 0.4734 0.6349 0.0767
S 0.9739 0.6363 0.0768
S 0.3409 0.0502 0.0763
S 0.8407 0.0518 0.0766
S 0.3106 0.6310 0.9186
S 0.8090 0.6302 0.9163
S 0.0126 0.3896 0.9156
S 0.5133 0.3914 0.9165
S 0.1798 0.9734 0.9178
S 0.6781 0.9727 0.9174
S 0.3060 0.9731 0.4162
S 0.8138 0.9871 0.4191
S 0.1727 0.3867 0.4126
S 0.6810 0.3794 0.4166
S 0.0103 0.6346 0.4173
O 0.1124 0.0214 0.3033
O 0.6108 0.0092 0.3043
O 0.4030 0.7886 0.3105
O 0.9163 0.7995 0.3017
O 0.4981 0.2120 0.3033
O 0.9974 0.2072 0.3044
O 0.1162 0.1980 0.8039
O 0.6097 0.2007 0.8028
O 0.5004 0.7925 0.8065
O 0.9952 0.7879 0.8038
O 0.4000 0.9906 0.8094
O 0.9165 0.0312 0.8016
O 0.4032 0.9649 0.6906
O 0.8976 0.9526 0.6873
O 0.0904 0.2255 0.6994
O 0.5901 0.2251 0.6964
O 0.0116 0.8226 0.6945
O 0.5235 0.8204 0.6971
O 0.4055 0.8410 0.1896
O 0.8976 0.8408 0.1857
O 0.0105 0.2067 0.1951
O 0.5083 0.2028 0.1939
O 0.0973 0.9484 0.1977
O 0.5915 0.9723 0.1966
O 0.4465 0.3521 0.6361
O 0.9473 0.3328 0.6423
O 0.2309 0.1134 0.6483
O 0.7307 0.1099 0.6467
O 0.3354 0.5555 0.6384
O 0.8346 0.5579 0.6402
O 0.4443 0.5531 0.1366
O 0.9454 0.5573 0.1375
O 0.3275 0.1219 0.1311
O 0.8276 0.1224 0.1316
O 0.2260 0.3394 0.1512
O 0.7269 0.3400 0.1499
O 0.2318 0.2793 0.0334
O 0.7318 0.2795 0.0323
O 0.4184 0.5193 0.0294
O 0.9187 0.5180 0.0302
O 0.3495 0.1570 0.0218
O 0.8503 0.1570 0.0221
O 0.2427 0.1802 0.5292
O 0.7339 0.1685 0.5271
O 0.3450 0.5396 0.5286
O 0.8486 0.5366 0.5308
O 0.4257 0.2942 0.5295
O 0.9156 0.3062 0.5356
O 0.2742 0.6561 0.9744
O 0.7730 0.6533 0.9730
O 0.0558 0.4641 0.9702
O 0.5545 0.4595 0.9723
O 0.1679 0.8822 0.9747
O 0.6665 0.8790 0.9737
O 0.2732 0.8778 0.4734
O 0.7816 0.9033 0.4784
O 0.1668 0.4662 0.4674
O 0.6663 0.4498 0.4709
O 0.0592 0.6501 0.4693
O 0.5654 0.6802 0.4805
O 0.0545 0.6202 0.3603
O 0.5767 0.6358 0.3614
O 0.2494 0.8715 0.3661
O 0.7544 0.8759 0.3716
O 0.1778 0.4955 0.3578
O 0.6870 0.4824 0.3612
O 0.0654 0.5026 0.8609
O 0.5674 0.5089 0.8634
O 0.1860 0.8715 0.8652
O 0.6850 0.8765 0.8639
O 0.2561 0.6220 0.8662
O 0.7558 0.6185 0.8642
O 0.9978 0.7823 0.4139
O 0.5028 0.8111 0.4133
O 0.3934 0.0049 0.4059
O 0.9013 0.0253 0.4086
O 0.0995 0.2126 0.4100
O 0.6108 0.2002 0.4116
O 0.0017 0.2180 0.9111
O 0.5024 0.2210 0.9099
O 0.1079 0.0029 0.9109
O 0.6071 0.0055 0.9116
O 0.3989 0.7692 0.9094
O 0.8975 0.7702 0.9077
O 0.4760 0.1450 0.5877
O 0.9663 0.1339 0.5805
O 0.0858 0.0407 0.5946
O 0.5819 0.0286 0.5957
O 0.4201 0.8092 0.5767
O 0.9255 0.8097 0.5791
O 0.4680 0.7935 0.0738
O 0.9680 0.7942 0.0730
O 0.4187 0.0346 0.0787
O 0.9207 0.0396 0.0800
O 0.0810 0.1288 0.0971
O 0.5822 0.1299 0.0957
O 0.3293 0.1400 0.7498
O 0.8333 0.1474 0.7473
O 0.2366 0.3697 0.7387
O 0.7328 0.3584 0.7384
O 0.4333 0.5425 0.7476
O 0.9282 0.5394 0.7447
O 0.3373 0.5237 0.2471
O 0.8339 0.5258 0.2454
O 0.4343 0.3361 0.2452
O 0.9340 0.3353 0.2464
O 0.2388 0.1071 0.2427
O 0.7349 0.1178 0.2404
O 0.3083 0.4636 0.9214
O 0.8092 0.4634 0.9205
O 0.4279 0.3813 0.9181
O 0.9268 0.3779 0.9173
O 0.2625 0.1414 0.9181
O 0.7616 0.1406 0.9188
O 0.3065 0.1375 0.4182
O 0.8089 0.1477 0.4176
O 0.2546 0.3821 0.4100
O 0.7638 0.3781 0.4195
O 0.4164 0.4697 0.4279
O 0.9233 0.4718 0.4249
O 0.1703 0.4829 0.0825
O 0.6711 0.4846 0.0823
O 0.0651 0.6869 0.0693
O 0.5649 0.6865 0.0691
O 0.2645 0.8750 0.0726
O 0.7665 0.8758 0.0724
O 0.1687 0.8596 0.5809
O 0.6637 0.8486 0.5823
O 0.2656 0.6662 0.5790
O 0.7712 0.6694 0.5762
O 0.0635 0.4378 0.5710
O 0.5699 0.4483 0.5727
O 0.1417 0.8029 0.2632
O 0.6412 0.8112 0.2503
O 0.2540 0.6978 0.2574
O 0.7529 0.7006 0.2652
O 0.0877 0.4684 0.2473
O 0.5879 0.4670 0.2440
O 0.1388 0.4706 0.7614
O 0.6415 0.4755 0.7574
O 0.0832 0.7010 0.7471
O 0.5907 0.7009 0.7561
O 0.2522 0.7997 0.7597
O 0.7556 0.8056 0.7622

- total magnetic moment (Bohr magnetons per cell) = 0.00
- V (A^3/atom) = 13.53
- DFT formation energy (eV/atom) = -2.462
- total DFT energy (no corrections) (eV/atom) = -6.23